DFT (PBE-GGA) results for Y2Th8O19 after structural relaxation.

a = 3.7820 Å, b = 4.0523 Å, c = 27.5215 Å
α = 90.00°, β = 90.00°, γ = 90.00°
Space group Pmm2 (No. 25)
One atom of each set of equivalent atoms:
Y1 0.0000 0.0000 0.0000 (multiplicity 1)
Y2 0.5000 0.5000 0.1101 (multiplicity 1)
Th1 0.0000 0.0000 0.2006 (multiplicity 1)
Th2 0.0000 0.0000 0.4037 (multiplicity 1)
Th3 0.0000 0.0000 0.6046 (multiplicity 1)
Th4 0.0000 0.0000 0.8058 (multiplicity 1)
Th5 0.5000 0.5000 0.3033 (multiplicity 1)
Th6 0.5000 0.5000 0.5043 (multiplicity 1)
Th7 0.5000 0.5000 0.7049 (multiplicity 1)
Th8 0.5000 0.5000 0.9059 (multiplicity 1)
O1 0.0000 0.5000 0.0581 (multiplicity 1)
O2 0.0000 0.5000 0.1546 (multiplicity 1)
O3 0.0000 0.5000 0.2555 (multiplicity 1)
O4 0.0000 0.5000 0.3534 (multiplicity 1)
O5 0.0000 0.5000 0.4558 (multiplicity 1)
O6 0.0000 0.5000 0.5539 (multiplicity 1)
O7 0.0000 0.5000 0.6563 (multiplicity 1)
O8 0.0000 0.5000 0.7542 (multiplicity 1)
O9 0.0000 0.5000 0.8564 (multiplicity 1)
O10 0.0000 0.5000 0.9537 (multiplicity 1)
O11 0.5000 0.0000 0.1485 (multiplicity 1)
O12 0.5000 0.0000 0.2497 (multiplicity 1)
O13 0.5000 0.0000 0.3548 (multiplicity 1)
O14 0.5000 0.0000 0.4532 (multiplicity 1)
O15 0.5000 0.0000 0.5560 (multiplicity 1)
O16 0.5000 0.0000 0.6542 (multiplicity 1)
O17 0.5000 0.0000 0.7573 (multiplicity 1)
O18 0.5000 0.0000 0.8561 (multiplicity 1)
O19 0.5000 0.0000 0.9622 (multiplicity 1)

**Crystal system**: orthorhombic
**E**: -9.497 eV per atom
**V**: 421.78 Å³/f.u.
**DFT formation energy**: -4.214 eV per atom
**Spin magnetization**: 0.00 Bohr magnetons per cell

---

DFT (PBE-GGA) results for NaSbN2 after structural relaxation.

a = 5.6833 Å, b = 11.4626 Å, c = 15.7687 Å
α = 90.00°, β = 90.00°, γ = 90.00°
Space group Pbca (No. 61)
One atom of each set of equivalent atoms:
Na1 0.2251 0.0001 0.0569 (multiplicity 8)
Na2 0.2290 0.2209 0.6874 (multiplicity 8)
Sb1 0.2156 0.0168 0.3112 (multiplicity 8)
Sb2 0.2390 0.2320 0.9349 (multiplicity 8)
N1 0.0186 0.6662 0.4909 (multiplicity 8)
N2 0.0584 0.5245 0.7006 (multiplicity 8)
N3 0.0868 0.5864 0.9035 (multiplicity 8)
N4 0.1153 0.1836 0.3317 (multiplicity 8)

**Crystal system**: orthorhombic
**E**: -5.332 eV per atom
**V**: 64.20 Å³/f.u.
**DFT formation energy**: 0.019 eV per atom
**Spin magnetization**: 0.00 Bohr magnetons per cell

---

DFT (PBE-GGA) results for GeO2 after structural relaxation.

a = 4.7662 Å, b = 4.7662 Å, c = 4.7662 Å
α = 90.00°, β = 90.00°, γ = 90.00°
Space group Pa-3 (No. 205)
One atom of each set of equivalent atoms:
Ge1 0.0000 0.0000 0.0000 (multiplicity 4)
O1 0.1569 0.6569 0.8431 (multiplicity 8)

**Crystal system**: cubic
**E**: -6.234 eV per atom
**V**: 27.07 Å³/f.u.
**DFT formation energy**: -1.852 eV per atom
**Spin magnetization**: 0.00 Bohr magnetons per cell

---

DFT (PBE-GGA) results for MgSbAs2SeO7 after structural relaxation.

a = 10.6397 Å, b = 13.5247 Å, c = 13.5264 Å
α = 81.06°, β = 66.85°, γ = 66.84°
Space group P-1 (No. 2)
One atom of each set of equivalent atoms:
Mg1 0.0219 0.1642 0.3829 (multiplicity 2)
Mg2 0.3144 0.6165 0.6646 (multiplicity 2)
Mg3 0.4049 0.1170 0.1643 (multiplicity 2)
Mg4 0.4309 0.6643 0.8827 (multiplicity 2)
Sb1 0.1175 0.2512 0.1107 (multiplicity 2)
Sb2 0.1315 0.8891 0.7512 (multiplicity 2)
Sb3 0.2283 0.3891 0.2512 (multiplicity 2)
Sb4 0.4794 0.2488 0.3893 (multiplicity 2)
As1 0.0325 0.3371 0.5407 (multiplicity 2)
As2 0.0897 0.8371 0.0409 (multiplicity 2)
As3 0.1304 0.4590 0.8374 (multiplicity 2)
As4 0.2130 0.9205 0.2721 (multiplicity 2)
As5 0.3665 0.7278 0.4209 (multiplicity 2)
As6 0.4057 0.5792 0.2283 (multiplicity 2)
As7 0.4268 0.0409 0.6627 (multiplicity 2)
As8 0.4850 0.2279 0.9205 (multiplicity 2)
Se1 0.2333 0.5005 0.0134 (multiplicity 2)
Se2 0.2338 0.0136 0.9995 (multiplicity 2)
Se3 0.2467 0.4865 0.5006 (multiplicity 2)
Se4 0.2526 0.0006 0.5135 (multiplicity 2)
O1 0.0257 0.7873 0.7553 (multiplicity 2)
O2 0.0443 0.5625 0.5499 (multiplicity 2)
O3 0.0648 0.1378 0.0181 (multiplicity 2)
O4 0.0832 0.4818 0.1377 (multiplicity 2)
O5 0.0926 0.2260 0.4645 (multiplicity 2)
O6 0.1069 0.5498 0.9374 (multiplicity 2)
O7 0.1194 0.9136 0.6039 (multiplicity 2)
O8 0.1566 0.9375 0.9504 (multiplicity 2)
O9 0.1815 0.5352 0.7260 (multiplicity 2)
O10 0.2090 0.0276 0.3360 (multiplicity 2)
O11 0.2151 0.8131 0.3744 (multiplicity 2)
O12 0.2170 0.7260 0.9645 (multiplicity 2)
O13 0.2191 0.2551 0.2127 (multiplicity 2)
O14 0.2208 0.3622 0.4818 (multiplicity 2)
O15 0.2634 0.6638 0.5281 (multiplicity 2)
O16 0.2768 0.1038 0.0863 (multiplicity 2)
O17 0.2975 0.9818 0.6378 (multiplicity 2)
O18 0.3131 0.7550 0.7128 (multiplicity 2)
O19 0.3630 0.4138 0.1039 (multiplicity 2)
O20 0.4028 0.6865 0.1258 (multiplicity 2)
O21 0.4059 0.0498 0.4373 (multiplicity 2)
O22 0.4107 0.8744 0.1867 (multiplicity 2)
O23 0.4273 0.5280 0.8354 (multiplicity 2)
O24 0.4318 0.2871 0.2552 (multiplicity 2)
O25 0.4428 0.9647 0.7741 (multiplicity 2)
O26 0.4551 0.8359 0.9723 (multiplicity 2)
O27 0.4667 0.3962 0.4137 (multiplicity 2)
O28 0.4717 0.6254 0.3138 (multiplicity 2)

**Crystal system**: triclinic
**E**: -5.669 eV per atom
**V**: 205.69 Å³/f.u.
**DFT formation energy**: -1.638 eV per atom
**Spin magnetization**: 7.99 Bohr magnetons per cell

---

DFT (PBE-GGA) results for Ti2C3N6 after structural relaxation.

a = 13.2672 Å, b = 3.3138 Å, c = 5.0195 Å
α = 90.00°, β = 95.44°, γ = 90.00°
Space group C2/m (No. 12)
One atom of each set of equivalent atoms:
Ti1 0.1265 0.0000 0.0661 (multiplicity 4)
C1 0.0000 0.0000 0.5000 (multiplicity 2)
C2 0.1706 0.5000 0.5937 (multiplicity 4)
N1 0.0154 0.0000 0.7460 (multiplicity 4)
N2 0.1551 0.5000 0.3509 (multiplicity 4)
N3 0.1901 0.5000 0.8418 (multiplicity 4)

**Crystal system**: monoclinic
**E**: -8.786 eV per atom
**V**: 109.85 Å³/f.u.
**DFT formation energy**: -0.483 eV per atom
**Spin magnetization**: 0.69 Bohr magnetons per cell

---

DFT (PBE-GGA) results for NbSi4Mo after structural relaxation.

a = 4.7221 Å, b = 13.1368 Å, c = 4.7372 Å
α = 90.00°, β = 119.73°, γ = 90.00°
Space group P2 (No. 3)
One atom of each set of equivalent atoms:
Nb1 0.0000 0.0000 0.0000 (multiplicity 1)
Nb2 0.0000 0.4992 0.0000 (multiplicity 1)
Nb3 0.5000 0.6664 0.0000 (multiplicity 1)
Si1 0.1763 0.1673 0.3405 (multiplicity 2)
Si2 0.1796 0.6673 0.3415 (multiplicity 2)
Si3 0.3364 0.4986 0.6568 (multiplicity 2)
Si4 0.3380 0.8330 0.1791 (multiplicity 2)
Si5 0.3401 0.9997 0.6638 (multiplicity 2)
Si6 0.3422 0.3322 0.1760 (multiplicity 2)
Mo1 0.0000 0.3324 0.5000 (multiplicity 1)
Mo2 0.0000 0.8332 0.5000 (multiplicity 1)
Mo3 0.5000 0.1670 0.0000 (multiplicity 1)

**Crystal system**: monoclinic
**E**: -7.608 eV per atom
**V**: 85.06 Å³/f.u.
**DFT formation energy**: -0.500 eV per atom
**Spin magnetization**: 0.03 Bohr magnetons per cell

---

DFT (PBE-GGA) results for Ca7TiN6 after structural relaxation.

a = 6.3311 Å, b = 11.5166 Å, c = 12.8152 Å
α = 90.00°, β = 90.00°, γ = 90.00°
Space group Ibam (No. 72)
One atom of each set of equivalent atoms:
Ca1 0.0000 0.0000 0.2500 (multiplicity 4)
Ca2 0.1274 0.2781 0.1258 (multiplicity 16)
Ca3 0.2220 0.0451 0.0000 (multiplicity 8)
Ti1 0.0000 0.5000 0.2500 (multiplicity 4)
N1 0.1110 0.1569 0.5000 (multiplicity 8)
N2 0.1891 0.3947 0.3238 (multiplicity 16)

**Crystal system**: orthorhombic
**E**: -6.133 eV per atom
**V**: 233.60 Å³/f.u.
**DFT formation energy**: -1.148 eV per atom
**Spin magnetization**: 0.00 Bohr magnetons per cell

---

DFT (PBE-GGA) results for Ba2NF after structural relaxation.

a = 4.1082 Å, b = 4.1082 Å, c = 5.5988 Å
α = 90.00°, β = 90.00°, γ = 90.00°
Space group P4/mmm (No. 123)
One atom of each set of equivalent atoms:
Ba1 0.0000 0.0000 0.0000 (multiplicity 1)
Ba2 0.5000 0.5000 0.5000 (multiplicity 1)
N1 0.0000 0.0000 0.5000 (multiplicity 1)
F1 0.5000 0.5000 0.0000 (multiplicity 1)

**Crystal system**: tetragonal
**E**: -5.058 eV per atom
**V**: 94.49 Å³/f.u.
**DFT formation energy**: -1.652 eV per atom
**Spin magnetization**: 0.00 Bohr magnetons per cell

---

DFT (PBE-GGA) results for GdLu3S6 after structural relaxation.

a = 10.8990 Å, b = 3.8991 Å, c = 11.1429 Å
α = 90.00°, β = 108.94°, γ = 90.00°
Space group P2_1/m (No. 11)
One atom of each set of equivalent atoms:
Gd1 0.0469 0.2500 0.1937 (multiplicity 2)
Lu1 0.1607 0.2500 0.5856 (multiplicity 2)
Lu2 0.3187 0.7500 0.9984 (multiplicity 2)
Lu3 0.4378 0.2500 0.3328 (multiplicity 2)
S1 0.0817 0.7500 0.4055 (multiplicity 2)
S2 0.1155 0.2500 0.9635 (multiplicity 2)
S3 0.1953 0.7500 0.7492 (multiplicity 2)
S4 0.2615 0.7500 0.2264 (multiplicity 2)
S5 0.3954 0.2500 0.5604 (multiplicity 2)
S6 0.4771 0.2500 0.1123 (multiplicity 2)

**Crystal system**: monoclinic
**E**: -7.314 eV per atom
**V**: 223.94 Å³/f.u.
**DFT formation energy**: -2.370 eV per atom

---

DFT (PBE-GGA) results for LaMgCu after structural relaxation.

a = 7.7063 Å, b = 7.7063 Å, c = 4.1654 Å
α = 90.00°, β = 90.00°, γ = 120.00°
Space group P-62m (No. 189)
One atom of each set of equivalent atoms:
La1 0.0000 0.5867 0.0000 (multiplicity 3)
Mg1 0.0000 0.2390 0.5000 (multiplicity 3)
Cu1 0.0000 0.0000 0.0000 (multiplicity 1)
Cu2 0.3333 0.6667 0.5000 (multiplicity 2)

**Crystal system**: hexagonal
**E**: -3.725 eV per atom
**V**: 71.41 Å³/f.u.
**DFT formation energy**: -0.180 eV per atom

---

DFT (PBE-GGA) results for Hf2SiTe2 after structural relaxation.

a = 3.0204 Å, b = 3.0204 Å, c = 14.9747 Å
α = 90.00°, β = 90.00°, γ = 90.00°
Space group P4/mmm (No. 123)
One atom of each set of equivalent atoms:
Hf1 0.0000 0.0000 0.1767 (multiplicity 2)
Si1 0.0000 0.0000 0.0000 (multiplicity 1)
Te1 0.0000 0.0000 0.3716 (multiplicity 2)

**Crystal system**: tetragonal
**E**: -5.909 eV per atom
**V**: 136.61 Å³/f.u.
**DFT formation energy**: 0.248 eV per atom
**Spin magnetization**: 0.00 Bohr magnetons per cell

---

DFT (PBE-GGA) results for GdPO4 after structural relaxation.

a = 7.0698 Å, b = 7.0698 Å, c = 6.1319 Å
α = 90.00°, β = 90.00°, γ = 90.00°
Space group I4_1/amd (No. 141, origin choice 2)
One atom of each set of equivalent atoms:
Gd1 0.0000 0.2500 0.3750 (multiplicity 4)
P1 0.0000 0.2500 0.8750 (multiplicity 4)
O1 0.0000 0.0775 0.7169 (multiplicity 16)

**Crystal system**: tetragonal
**E**: -9.546 eV per atom
**V**: 76.62 Å³/f.u.
**DFT formation energy**: -3.458 eV per atom